Here is a relaxed HoMnSi crystal from the Materials Project. Energies are from PBE.

Summary:
formation energy	-0.50	eV/atom

a b c (Å): 6.9481 4.0790 7.5867
angles (deg): 90.00 90.00 90.00
Space group Pnma (No. 62)
Symmetry-distinct sites (fractional):
Ho  0.0115  0.2500  0.1847 (multiplicity 4)
Mn  0.1378  0.2500  0.5574 (multiplicity 4)
Si  0.2130  0.7500  0.3875 (multiplicity 4)